1.
Density functional theory data (PBE+U) for a geometry-optimized V2CdP2O9 structure.

Computed properties:
Final energy   -7.188 eV per atom
Theoretical density   4.0 g/cm³
ΔH_f (0 K)   -2.5550 eV/atom
Volume   694.8 Å³/cell

The structure in CIF format:
```
data_V2CdP2O9
_symmetry_space_group_name_H-M 'P n m a'
_symmetry_Int_Tables_number 62
_cell_length_a 14.560
_cell_length_b 6.403
_cell_length_c 7.453
_cell_angle_alpha 90.00
_cell_angle_beta 90.00
_cell_angle_gamma 90.00
loop_
_symmetry_equiv_pos_as_xyz
'x,y,z'
'-x,-y,-z'
'-x+1/2,-y,z+1/2'
'x+1/2,y,-z+1/2'
'x+1/2,-y+1/2,-z+1/2'
'-x+1/2,y+1/2,z+1/2'
'-x,y+1/2,-z'
'x,-y+1/2,z'
loop_
_atom_site_label
_atom_site_type_symbol
_atom_site_fract_x
_atom_site_fract_y
_atom_site_fract_z
_atom_site_occupancy
V1 V 0.000 0.000 0.000 1
V2 V 0.122 0.250 0.350 1
Cd1 Cd 0.223 0.250 0.867 1
P1 P 0.067 0.750 0.367 1
P2 P 0.194 0.750 0.894 1
O1 O 0.002 0.250 0.484 1
O2 O 0.019 0.750 0.180 1
O3 O 0.048 0.250 0.128 1
O4 O 0.133 0.549 0.901 1
O5 O 0.134 0.561 0.374 1
O6 O 0.233 0.250 0.547 1
O7 O 0.247 0.250 0.220 1
```



2.
Density functional theory data (PBE+U) for a geometry-optimized Mn13Fe11O32 structure.

Computed properties:
Energy above the most stable polymorph in this dataset   0 meV per atom
Final energy   -7.245 eV per atom
Theoretical density   4.7 g/cm³
ΔH_f (0 K)   -1.8499 eV/atom
Volume   656.2 Å³/cell

The structure in CIF format:
```
data_Mn13Fe11O32
_symmetry_space_group_name_H-M 'P -1'
_symmetry_Int_Tables_number 2
_cell_length_a 6.128
_cell_length_b 6.147
_cell_length_c 20.359
_cell_angle_alpha 89.96
_cell_angle_beta 81.63
_cell_angle_gamma 60.20
loop_
_symmetry_equiv_pos_as_xyz
'x,y,z'
'-x,-y,-z'
loop_
_atom_site_label
_atom_site_type_symbol
_atom_site_fract_x
_atom_site_fract_y
_atom_site_fract_z
_atom_site_occupancy
Mn1 Mn 0.000 0.000 0.000 1
Mn2 Mn 0.189 0.398 0.218 1
Mn3 Mn 0.189 0.903 0.718 1
Mn4 Mn 0.249 0.129 0.375 1
Mn5 Mn 0.305 0.344 0.032 1
Mn6 Mn 0.313 0.840 0.532 1
Mn7 Mn 0.500 0.252 0.750 1
Fe1 Fe 0.000 0.500 0.500 1
Fe2 Fe 0.246 0.630 0.375 1
Fe3 Fe 0.248 0.868 0.125 1
Fe4 Fe 0.250 0.369 0.625 1
Fe5 Fe 0.252 0.128 0.875 1
Fe6 Fe 0.257 0.628 0.875 1
O1 O 0.095 0.676 0.568 1
O2 O 0.099 0.166 0.065 1
O3 O 0.099 0.728 0.064 1
O4 O 0.102 0.475 0.320 1
O5 O 0.106 0.223 0.564 1
O6 O 0.116 0.948 0.822 1
O7 O 0.153 0.429 0.819 1
O8 O 0.153 0.935 0.319 1
O9 O 0.340 0.327 0.433 1
O10 O 0.363 0.825 0.929 1
O11 O 0.387 0.308 0.928 1
O12 O 0.391 0.573 0.182 1
O13 O 0.396 0.013 0.187 1
O14 O 0.397 0.516 0.688 1
O15 O 0.397 0.779 0.429 1
O16 O 0.407 0.061 0.680 1
```



3.
Density functional theory data (PBE+U) for a geometry-optimized K3VH6C4O13 structure.

Computed properties:
Final energy   -6.281 eV per atom
Theoretical density   2.1 g/cm³
ΔH_f (0 K)   -1.7116 eV/atom
Volume   686.0 Å³/cell

The structure in CIF format:
```
data_K3VH6C4O13
_symmetry_space_group_name_H-M 'P -1'
_symmetry_Int_Tables_number 2
_cell_length_a 7.893
_cell_length_b 7.938
_cell_length_c 11.713
_cell_angle_alpha 91.11
_cell_angle_beta 94.40
_cell_angle_gamma 110.19
loop_
_symmetry_equiv_pos_as_xyz
'x,y,z'
'-x,-y,-z'
loop_
_atom_site_label
_atom_site_type_symbol
_atom_site_fract_x
_atom_site_fract_y
_atom_site_fract_z
_atom_site_occupancy
K1 K 0.069 0.275 0.480 1
K2 K 0.088 0.032 0.173 1
K3 K 0.342 0.731 0.771 1
V1 V 0.344 0.186 0.707 1
H1 H 0.022 0.426 0.742 1
H2 H 0.094 0.717 0.986 1
H3 H 0.109 0.366 0.991 1
H4 H 0.122 0.501 0.212 1
H5 H 0.374 0.429 0.283 1
H6 H 0.405 0.333 0.393 1
C1 C 0.327 0.869 0.370 1
C2 C 0.371 0.733 0.449 1
C3 C 0.413 0.672 0.075 1
C4 C 0.416 0.170 0.953 1
O1 O 0.011 0.250 0.998 1
O2 O 0.025 0.475 0.264 1
O3 O 0.181 0.004 0.647 1
O4 O 0.183 0.901 0.376 1
O5 O 0.248 0.344 0.715 1
O6 O 0.271 0.659 0.524 1
O7 O 0.290 0.599 0.996 1
O8 O 0.308 0.087 0.863 1
O9 O 0.338 0.312 0.317 1
O10 O 0.389 0.128 0.053 1
O11 O 0.413 0.631 0.180 1
O12 O 0.450 0.938 0.301 1
O13 O 0.480 0.295 0.570 1
```



Number 1: MP2020-corrected energy -440.9 eV per cell. Number 2: MP2020-corrected energy -474.2 eV per cell. Number 3: MP2020-corrected energy -360.4 eV per cell.